1.
Here is crystalline MgFe4Te2O12 at its relaxed geometry from the Materials Project database. Energies are from PBE+U.

a = 4.804 Å, b = 4.887 Å, c = 9.038 Å
α = 89.93°, β = 90.00°, γ = 90.87°
Sites, in units of the cell vectors:
Mg: 0.500 0.000 0.693
O: 0.712 0.674 0.328
Fe: 0.000 0.999 0.328
O: 0.785 0.161 0.837
O: 0.760 0.182 0.492
O: 0.289 0.326 0.328
O: 0.273 0.311 0.001
Fe: 0.500 0.500 0.153
O: 0.297 0.332 0.652
Te: 0.500 0.500 0.484
O: 0.727 0.689 0.002
O: 0.239 0.819 0.491
O: 0.215 0.839 0.837
O: 0.199 0.828 0.165
Te: 0.000 0.000 0.000
O: 0.802 0.172 0.166
O: 0.703 0.668 0.652
Fe: 0.000 0.000 0.654
Fe: 0.500 0.500 0.838

Properties
symmetry = P1
formation energy = -1.651 eV per atom
energy above the most stable polymorph in this dataset = 0.000 kcal/mol of atoms

=====

2.
Here is crystalline Rb3Li2AlMo4O16 at its relaxed geometry from the Materials Project database. Energies are from PBE+U.

a = 10.660 Å, b = 10.660 Å, c = 10.660 Å
α = 109.15°, β = 109.15°, γ = 110.11°
Sites, in units of the cell vectors:
O: 0.991 0.869 0.438
Al: 0.750 0.250 0.500
Mo: 0.067 0.620 0.747
Mo: 0.570 0.623 0.753
O: 0.015 0.267 0.891
O: 0.248 0.376 0.191
O: 0.874 0.483 0.249
O: 0.259 0.197 0.378
O: 0.502 0.337 0.004
O: 0.748 0.252 0.335
O: 0.663 0.668 0.165
Rb: 0.761 0.375 0.886
O: 0.502 0.498 0.835
O: 0.235 0.626 0.751
O: 0.119 0.741 0.938
Rb: 0.250 0.750 0.500
Rb: 0.125 0.239 0.614
Mo: 0.377 0.130 0.947
Al: 0.500 0.500 0.000
O: 0.624 0.816 0.872
Rb: 0.000 0.000 0.000
Mo: 0.870 0.817 0.247
O: 0.626 0.998 0.691
O: 0.918 0.413 0.665
Mo: 0.873 0.320 0.253
O: 0.376 0.124 0.109
O: 0.944 0.752 0.128
Li: 0.625 0.999 0.874
Rb: 0.489 0.875 0.114
O: 0.066 0.374 0.372
O: 0.306 0.934 0.309
Li: 0.125 0.751 0.126
Li: 0.001 0.875 0.626
Mo: 0.680 0.933 0.553
O: 0.431 0.553 0.562
O: 0.517 0.765 0.391
O: 0.447 0.009 0.878
O: 0.184 0.056 0.809
O: 0.332 0.498 0.996
Rb: 0.625 0.511 0.386
O: 0.131 0.569 0.122
O: 0.748 0.082 0.496
Li: 0.249 0.375 0.374
O: 0.587 0.252 0.504
O: 0.002 0.694 0.628
Mo: 0.380 0.127 0.447
O: 0.876 0.985 0.251
O: 0.803 0.181 0.062
O: 0.374 0.126 0.609
O: 0.819 0.881 0.622
O: 0.733 0.624 0.749
Mo: 0.183 0.430 0.053

Properties
symmetry = I-42d
formation energy = -2.295 eV per atom

=====

3.
Here is crystalline BaTlMo2O6 at its relaxed geometry from the Materials Project database. Energies are from PBE+U.

a = 22.353 Å, b = 22.353 Å, c = 3.910 Å
α = 85.05°, β = 85.05°, γ = 10.01°
Sites, in units of the cell vectors:
O: 0.614 0.614 0.882
O: 0.114 0.114 0.383
Mo: 0.535 0.535 0.473
Ba: 0.841 0.841 0.152
O: 0.660 0.660 0.337
Tl: 0.728 0.728 0.251
O: 0.387 0.387 0.109
Mo: 0.463 0.463 0.538
O: 0.893 0.893 0.602
O: 0.329 0.329 0.677
O: 0.963 0.963 0.538
O: 0.463 0.463 0.038
Mo: 0.616 0.616 0.381
Mo: 0.397 0.397 0.600
O: 0.235 0.235 0.828
Ba: 0.169 0.169 0.826
O: 0.781 0.781 0.316
Tl: 0.281 0.281 0.655
O: 0.037 0.037 0.471
O: 0.536 0.536 0.971

Properties
symmetry = Cm
formation energy = -1.687 eV per atom

=====

4.
Here is crystalline Li3Fe5OF11 at its relaxed geometry from the Materials Project database. Energies are from PBE+U.

a = 5.304 Å, b = 5.730 Å, c = 9.436 Å
α = 85.25°, β = 74.23°, γ = 118.23°
Sites, in units of the cell vectors:
F: 0.552 0.115 0.628
Li: 0.167 0.375 0.057
Fe: 0.881 0.139 0.428
Fe: 0.330 0.363 0.668
F: 0.048 0.537 0.729
F: 0.551 0.622 0.121
Fe: 0.621 0.604 0.330
F: 0.918 0.963 0.794
O: 0.254 0.278 0.478
Fe: 0.354 0.874 0.170
F: 0.249 0.774 0.972
Fe: 0.655 0.133 0.829
Li: 0.872 0.647 0.926
F: 0.429 0.354 0.867
F: 0.958 0.488 0.275
Li: 0.144 0.872 0.578
F: 0.043 0.020 0.217
F: 0.746 0.220 0.035
F: 0.756 0.724 0.529
F: 0.472 0.898 0.370

Properties
symmetry = P1
formation energy = -2.596 eV per atom
energy above the most stable polymorph in this dataset = 0.000 kcal/mol of atoms

=====

5.
Here is crystalline NaV5H18N2O19 at its relaxed geometry from the Materials Project database. Energies are from PBE+U.

a = 8.588 Å, b = 10.545 Å, c = 11.520 Å
α = 111.31°, β = 87.50°, γ = 113.51°
Sites, in units of the cell vectors:
O: 0.293 0.991 0.018
O: 0.528 0.387 0.794
O: 0.202 0.377 0.821
N: 0.217 0.319 0.069
O: 0.842 0.320 0.246
V: 0.968 0.291 0.762
H: 0.407 0.700 0.054
O: 0.105 0.878 0.580
H: 0.509 0.425 0.333
N: 0.329 0.708 0.518
O: 0.525 0.683 0.696
O: 0.377 0.127 0.576
O: 0.159 0.386 0.418
O: 0.567 0.328 0.033
N: 0.671 0.292 0.482
V: 0.667 0.715 0.277
O: 0.183 0.120 0.387
O: 0.005 0.103 0.176
O: 0.841 0.614 0.582
Na: 0.574 0.167 0.127
O: 0.995 0.897 0.824
O: 0.762 0.130 0.643
O: 0.981 0.630 0.364
O: 0.330 0.367 0.603
O: 0.817 0.880 0.613
V: 0.188 0.998 0.481
H: 0.250 0.600 0.461
O: 0.066 0.120 0.602
H: 0.334 0.311 0.052
O: 0.238 0.870 0.357
H: 0.106 0.570 0.712
H: 0.927 0.287 0.263
H: 0.743 0.233 0.440
H: 0.151 0.253 0.119
V: 0.032 0.709 0.238
Na: 0.426 0.833 0.873
H: 0.586 0.238 0.532
H: 0.242 0.430 0.119
O: 0.433 0.672 0.967
V: 0.875 0.714 0.495
O: 0.058 0.862 0.174
H: 0.144 0.281 0.985
H: 0.599 0.964 0.237
H: 0.849 0.747 0.881
H: 0.640 0.728 0.675
H: 0.421 0.959 0.277
H: 0.398 0.703 0.588
O: 0.516 0.007 0.236
H: 0.655 0.430 0.077
O: 0.934 0.880 0.398
O: 0.251 0.131 0.788
O: 0.895 0.122 0.420
V: 0.026 0.002 0.739
H: 0.593 0.300 0.946
O: 0.115 0.605 0.139
H: 0.224 0.946 0.075
H: 0.894 0.430 0.288
H: 0.414 0.762 0.468
V: 0.333 0.285 0.723
O: 0.019 0.370 0.636
O: 0.885 0.395 0.861
O: 0.707 0.009 0.982
O: 0.472 0.613 0.206
O: 0.749 0.869 0.212
H: 0.792 0.021 0.045
H: 0.360 0.272 0.325
H: 0.666 0.689 0.948
H: 0.257 0.767 0.560
H: 0.776 0.054 0.925
H: 0.345 0.570 0.923
O: 0.475 0.317 0.304
H: 0.401 0.036 0.763
V: 0.974 0.998 0.261
N: 0.783 0.681 0.931
O: 0.484 0.993 0.764
H: 0.491 0.575 0.667
H: 0.602 0.297 0.412
H: 0.856 0.719 0.015
O: 0.623 0.873 0.424
H: 0.758 0.570 0.881
H: 0.750 0.400 0.539
H: 0.073 0.713 0.737
O: 0.942 0.138 0.826
O: 0.158 0.680 0.754
O: 0.798 0.623 0.179
O: 0.670 0.633 0.397
H: 0.579 0.041 0.723
V: 0.812 0.002 0.519
H: 0.208 0.979 0.955
V: 0.125 0.286 0.505

Properties
symmetry = P-1
formation energy = -1.566 eV per atom

=====

6.
Here is crystalline Bi2MoO6 at its relaxed geometry from the Materials Project database. Energies are from PBE+U.

a = 8.878 Å, b = 8.878 Å, c = 5.464 Å
α = 90.00°, β = 90.00°, γ = 144.27°
Sites, in units of the cell vectors:
Bi: 0.827 0.173 0.475
O: 0.110 0.890 0.919
O: 0.610 0.390 0.581
O: 0.999 0.501 0.250
O: 0.770 0.730 0.250
Bi: 0.327 0.673 0.025
O: 0.001 0.499 0.750
O: 0.270 0.230 0.250
Mo: 0.000 0.000 0.000
O: 0.890 0.110 0.081
O: 0.499 0.001 0.250
Bi: 0.673 0.327 0.975
O: 0.501 0.999 0.750
Bi: 0.173 0.827 0.525
O: 0.730 0.770 0.750
O: 0.230 0.270 0.750
O: 0.390 0.610 0.419
Mo: 0.500 0.500 0.500

Properties
symmetry = Cmce
formation energy = -1.811 eV per atom

=====

Among the records above, which one has the highest formation energy?
NaV5H18N2O19

=====

Among the records above, which one has the lowest formation energy?
Li3Fe5OF11

=====

Which of these has the highest formation energy?
NaV5H18N2O19

=====

Repeat the fourth record exactly.
Here is crystalline Li3Fe5OF11 at its relaxed geometry from the Materials Project database. Energies are from PBE+U.

a = 5.304 Å, b = 5.730 Å, c = 9.436 Å
α = 85.25°, β = 74.23°, γ = 118.23°
Sites, in units of the cell vectors:
F: 0.552 0.115 0.628
Li: 0.167 0.375 0.057
Fe: 0.881 0.139 0.428
Fe: 0.330 0.363 0.668
F: 0.048 0.537 0.729
F: 0.551 0.622 0.121
Fe: 0.621 0.604 0.330
F: 0.918 0.963 0.794
O: 0.254 0.278 0.478
Fe: 0.354 0.874 0.170
F: 0.249 0.774 0.972
Fe: 0.655 0.133 0.829
Li: 0.872 0.647 0.926
F: 0.429 0.354 0.867
F: 0.958 0.488 0.275
Li: 0.144 0.872 0.578
F: 0.043 0.020 0.217
F: 0.746 0.220 0.035
F: 0.756 0.724 0.529
F: 0.472 0.898 0.370

Properties
symmetry = P1
formation energy = -2.596 eV per atom
energy above the most stable polymorph in this dataset = 0.000 kcal/mol of atoms